(1)
This record from the Materials Project database describes a geometry-optimized CaTi2Cu2O8 structure. The functional is PBE-GGA.

a b c (Å): 6.4075 8.8200 12.5033
angles (deg): 90.00 95.84 90.00
Space group P2_1/c (No. 14)
Unique sites:
Ca: 0.1506 0.1658 0.4817 x4
Ti: 0.0876 0.0409 0.1705 x4
Ti: 0.4031 0.5903 0.1515 x4
Cu: 0.2407 0.6833 0.8443 x4
Cu: 0.3905 0.0563 0.8707 x4
O: 0.0231 0.2402 0.1379 x4
O: 0.1114 0.0948 0.8905 x4
O: 0.1450 0.0125 0.3178 x4
O: 0.1879 0.5815 0.0532 x4
O: 0.3128 0.6208 0.2955 x4
O: 0.3282 0.5041 0.6150 x4
O: 0.4410 0.2426 0.3981 x4
O: 0.4908 0.1087 0.6430 x4

---

(2)
This record from the Materials Project database describes a geometry-optimized Ca2YCuO5 structure. The functional is PBE-GGA.

a b c (Å): 16.1619 5.6492 5.2943
angles (deg): 90.00 90.00 90.00
Space group Ima2 (No. 46)
Unique sites:
Ca: 0.0964 0.0303 0.0000 x8
Y: 0.2500 0.5440 0.9685 x4
Cu: 0.0000 0.0000 0.5184 x4
O: 0.0177 0.7441 0.7637 x8
O: 0.1279 0.0742 0.5485 x8
O: 0.2500 0.5765 0.5491 x4

---

no.,E_tot (eV/cell),E_form (meV per atom)
1,-364.7,-2392.6
2,-240.6,-2697.3